Computed, not measured: LiSn2P3O12 after structural relaxation at the GGA-PBE level of DFT.

Properties
For the raw total energy, the calculation gives -6.821 eV per atom. As for the formation enthalpy at 0 K: -2.527 eV per atom.

Cell lengths 8.5881, 8.8670, 14.8913 Å; angles 90.00, 124.72, 90.00 degrees
Closest atoms and distances in Å follow each position.
Space group P2_1/c (No. 14)
Asymmetric unit:
Li1 0.0111 0.2124 0.3229 (multiplicity 4)  4 O 1.99-2.05
Sn1 0.1430 0.5361 0.3907 (multiplicity 4)  6 O 2.01-2.10
Sn2 0.3696 0.5306 0.1179 (multiplicity 4)  6 O 2.03-2.09
P1 0.0342 0.1101 0.6458 (multiplicity 4)  4 O 1.54-1.56
P2 0.2537 0.6200 0.6498 (multiplicity 4)  4 O 1.53-1.57
P3 0.4576 0.2488 0.4930 (multiplicity 4)  4 O 1.53-1.57
O1 0.0115 0.2339 0.1859 (multiplicity 4)  1 P 1.56
O2 0.0938 0.5087 0.2373 (multiplicity 4)  1 P 1.56
O3 0.1034 0.5876 0.6753 (multiplicity 4)  1 P 1.57
O4 0.1579 0.5558 0.9533 (multiplicity 4)  1 P 1.54
O5 0.1632 0.5873 0.5285 (multiplicity 4)  1 P 1.53
O6 0.1864 0.1196 0.6220 (multiplicity 4)  1 P 1.54
O7 0.2545 0.1806 0.9356 (multiplicity 4)  1 P 1.57
O8 0.2884 0.7081 0.1719 (multiplicity 4)  1 P 1.55
O9 0.3948 0.6270 0.4413 (multiplicity 4)  1 P 1.54
O10 0.4296 0.5209 0.7205 (multiplicity 4)  1 P 1.53
O11 0.4677 0.1837 0.4004 (multiplicity 4)  1 P 1.54
O12 0.4848 0.1313 0.5762 (multiplicity 4)  1 P 1.53